# PBE RbZn2P2HO8, optimized geometry
# Total energy = -6.076 eV per atom
# Theoretical density = 3.12 g/cm³
# Energy of formation from the pure elements = -2376 meV per atom
data_RbZn2P2HO8
_symmetry_space_group_name_H-M 'P 1'
_symmetry_Int_Tables_number 1
_cell_length_a 5.3287
_cell_length_b 8.9817
_cell_length_c 9.8879
_cell_angle_alpha 75.28
_cell_angle_beta 77.57
_cell_angle_gamma 73.56
loop_
_symmetry_equiv_pos_as_xyz
'x,y,z'
loop_
_atom_site_label
_atom_site_type_symbol
_atom_site_fract_x
_atom_site_fract_y
_atom_site_fract_z
_atom_site_occupancy
O1 O 0.0478 0.7750 0.5239 1
O2 O 0.5740 0.4025 0.3499 1
O3 O 0.4051 0.7015 0.1146 1
O4 O 0.3561 0.8888 0.6164 1
O5 O 0.9332 0.1912 0.0502 1
O6 O 0.0323 0.1017 0.8160 1
O7 O 0.5949 0.2985 0.8854 1
O8 O 0.5301 0.7658 0.4044 1
O9 O 0.0246 0.3860 0.8249 1
O10 O 0.4699 0.2342 0.5956 1
O11 O 0.0668 0.8088 0.9498 1
O12 O 0.6439 0.1112 0.3836 1
O13 O 0.9522 0.2250 0.4761 1
O14 O 0.9754 0.6140 0.1751 1
O15 O 0.9677 0.8983 0.1840 1
O16 O 0.4260 0.5975 0.6501 1
Rb1 Rb 0.2915 0.2951 0.1771 1
Rb2 Rb 0.7085 0.7049 0.8229 1
P1 P 0.8947 0.2462 0.8875 1
P2 P 0.3307 0.7562 0.5501 1
P3 P 0.1053 0.7538 0.1125 1
P4 P 0.6693 0.2438 0.4499 1
H1 H 0.0596 0.9245 0.9024 1
H2 H 0.9404 0.0755 0.0976 1
Zn1 Zn 0.3893 0.3831 0.7271 1
Zn2 Zn 0.8091 0.8879 0.3886 1
Zn3 Zn 0.1909 0.1121 0.6114 1
Zn4 Zn 0.6107 0.6169 0.2729 1